A plane-wave DFT calculation with r2SCAN was carried out for a geometry-optimized ErTlRh2 structure.

Results
E_form: -61.3 kJ/mol of atoms
spin magnetization: 0.00 μB/cell
electronic total energy: -1.2671 hartree per atom
space group: Fm-3m (225)

Cell: 4.669 4.669 4.669 Å, 60.00 60.00 60.00°
Positions (direct):
Er (0.500, 0.500, 0.500)
Tl (0.000, 0.000, 0.000)
Rh (0.250, 0.250, 0.250)
Rh (0.750, 0.750, 0.750)

***

A plane-wave DFT calculation with r2SCAN was carried out for a geometry-optimized USnAu structure.

Results
E_form: -35.0 kJ/mol of atoms
spin magnetization: 6.28 μB/cell
electronic total energy: -1.9154 hartree per atom
space group: P6_3/mmc (194)

Cell: 5.088 5.088 5.888 Å, 90.00 90.00 120.00°
Positions (direct):
U (0.000, 0.000, 0.000)
U (0.000, 0.000, 0.500)
Sn (0.667, 0.333, 0.250)
Sn (0.333, 0.667, 0.750)
Au (0.667, 0.333, 0.750)
Au (0.333, 0.667, 0.250)

***

A plane-wave DFT calculation with r2SCAN was carried out for a geometry-optimized LiMg6C structure.

Results
E_form: 47.5 kJ/mol of atoms
spin magnetization: 0.00 μB/cell
electronic total energy: -0.1535 hartree per atom

Cell: 4.417 6.703 10.687 Å, 90.00 90.00 90.00°
Positions (direct):
Li (0.500, 0.000, 0.842)
Li (0.500, 0.500, 0.342)
Mg (0.500, 0.261, 0.615)
Mg (0.500, 0.739, 0.615)
Mg (0.000, 0.236, 0.410)
Mg (0.000, 0.764, 0.410)
Mg (0.000, 0.000, 0.665)
Mg (0.000, 0.000, 0.181)
Mg (0.500, 0.761, 0.115)
Mg (0.500, 0.239, 0.115)
Mg (0.000, 0.736, 0.910)
Mg (0.000, 0.264, 0.910)
Mg (0.000, 0.500, 0.165)
Mg (0.000, 0.500, 0.681)
C (0.500, 0.000, 0.263)
C (0.500, 0.500, 0.763)

***

A plane-wave DFT calculation with r2SCAN was carried out for a geometry-optimized Rb2HoCl5 structure.

Results
E_form: -232.3 kJ/mol of atoms
spin magnetization: 0.00 μB/cell
electronic total energy: -0.5088 hartree per atom
space group: Pnma (62)

Cell: 7.332 9.384 14.717 Å, 90.00 90.00 90.00°
Positions (direct):
Rb (0.250, 0.670, 0.916)
Rb (0.750, 0.330, 0.084)
Rb (0.750, 0.830, 0.416)
Rb (0.250, 0.170, 0.584)
Rb (0.250, 0.970, 0.209)
Rb (0.750, 0.030, 0.791)
Rb (0.750, 0.530, 0.709)
Rb (0.250, 0.470, 0.291)
Ho (0.250, 0.689, 0.564)
Ho (0.750, 0.311, 0.436)
Ho (0.750, 0.811, 0.064)
Ho (0.250, 0.189, 0.936)
Cl (0.250, 0.533, 0.707)
Cl (0.750, 0.467, 0.293)
Cl (0.750, 0.967, 0.207)
Cl (0.250, 0.033, 0.793)
Cl (0.510, 0.850, 0.613)
Cl (0.490, 0.150, 0.387)
Cl (0.490, 0.650, 0.113)
Cl (0.010, 0.150, 0.387)
Cl (0.510, 0.350, 0.887)
Cl (0.990, 0.850, 0.613)
Cl (0.990, 0.350, 0.887)
Cl (0.010, 0.650, 0.113)
Cl (0.250, 0.782, 0.395)
Cl (0.750, 0.218, 0.605)
Cl (0.750, 0.718, 0.895)
Cl (0.250, 0.282, 0.105)
Cl (0.000, 0.500, 0.500)
Cl (0.000, 0.000, 0.000)
Cl (0.500, 0.500, 0.500)
Cl (0.500, 0.000, 0.000)

***

A plane-wave DFT calculation with r2SCAN was carried out for a geometry-optimized SmErNi2 structure.

Results
E_form: -36.7 kJ/mol of atoms
spin magnetization: 0.00 μB/cell
electronic total energy: -0.8190 hartree per atom
space group: Amm2 (38)

Cell: 5.415 5.415 4.205 Å, 90.00 90.00 139.74°
Positions (direct):
Sm (0.859, 0.141, 0.500)
Er (0.136, 0.864, 0.000)
Ni (0.432, 0.568, 0.000)
Ni (0.573, 0.427, 0.500)

***

A plane-wave DFT calculation with r2SCAN was carried out for a geometry-optimized YbDyPt2 structure.

Results
E_form: -132.0 kJ/mol of atoms
spin magnetization: 0.00 μB/cell
electronic total energy: -1.6258 hartree per atom
space group: Fm-3m (225)

Cell: 4.868 4.868 4.868 Å, 60.00 60.00 60.00°
Positions (direct):
Yb (0.000, 0.000, 0.000)
Dy (0.500, 0.500, 0.500)
Pt (0.250, 0.250, 0.250)
Pt (0.750, 0.750, 0.750)